1.
SmS: optimized geometry, PBE.

Its polymorph energy (0 for the lowest one) is 0 meV/atom. The calculation puts the formation energy from the elements at -2.274 eV per atom. As for the final energy: -6.450 eV/atom.

Lattice parameters (Å, degrees): 4.010 4.010 4.010 60.00 60.00 60.00
Fractional coordinates of all 2 atoms:
1 Sm 0.500 0.500 0.500
2 S 0.000 0.000 0.000

---

2.
SbAsH6C2F8: optimized geometry, PBE.

The calculation puts the formation energy from the elements at -1.511 eV per atom. As for the final energy: -4.801 eV/atom.

Lattice parameters (Å, degrees): 10.769 10.769 10.769 118.25 116.32 94.78
Fractional coordinates of all 72 atoms:
1 F 0.517 0.528 0.708
2 F 0.027 0.606 0.724
3 C 0.502 0.069 0.777
4 F 0.916 0.336 0.725
5 H 0.086 0.887 0.646
6 H 0.710 0.731 0.622
7 Sb 0.578 0.328 0.250
8 H 0.391 0.912 0.122
9 H 0.914 0.113 0.354
10 C 0.293 0.569 0.067
11 C 0.793 0.725 0.723
12 F 0.078 0.996 0.226
13 C 0.998 0.775 0.567
14 F 0.578 0.352 0.083
15 F 0.889 0.808 0.225
16 F 0.770 0.496 0.417
17 F 0.584 0.308 0.420
18 F 0.111 0.192 0.775
19 F 0.483 0.472 0.292
20 F 0.180 0.972 0.489
21 H 0.180 0.183 0.153
22 F 0.422 0.648 0.917
23 As 0.469 0.750 0.219
24 F 0.118 0.894 0.921
25 F 0.230 0.504 0.583
26 F 0.416 0.692 0.580
27 F 0.527 0.804 0.421
28 F 0.270 0.852 0.274
29 F 0.618 0.696 0.224
30 C 0.002 0.225 0.433
31 C 0.707 0.431 0.933
32 H 0.680 0.527 0.997
33 F 0.473 0.196 0.579
34 H 0.970 0.317 0.497
35 H 0.586 0.939 0.199
36 H 0.740 0.439 0.854
37 H 0.109 0.231 0.522
38 F 0.382 0.304 0.776
39 Sb 0.922 0.172 0.750
40 H 0.820 0.817 0.847
41 F 0.882 0.106 0.079
42 F 0.320 0.809 0.792
43 H 0.320 0.473 0.003
44 Sb 0.422 0.672 0.750
45 H 0.790 0.412 0.022
46 F 0.730 0.148 0.726
47 F 0.922 0.004 0.774
48 H 0.609 0.088 0.878
49 H 0.414 0.061 0.801
50 H 0.240 0.387 0.301
51 H 0.760 0.613 0.699
52 F 0.017 0.309 0.989
53 H 0.470 0.973 0.653
54 As 0.031 0.250 0.281
55 H 0.290 0.269 0.378
56 F 0.084 0.664 0.275
57 C 0.207 0.275 0.277
58 Sb 0.078 0.828 0.250
59 F 0.983 0.691 0.011
60 F 0.389 0.164 0.080
61 H 0.260 0.561 0.146
62 As 0.969 0.750 0.719
63 F 0.611 0.836 0.920
64 As 0.531 0.250 0.781
65 F 0.820 0.028 0.511
66 F 0.973 0.394 0.276
67 H 0.891 0.769 0.478
68 H 0.210 0.588 0.978
69 H 0.530 0.027 0.347
70 H 0.030 0.683 0.503
71 C 0.498 0.931 0.223
72 F 0.680 0.191 0.208